(1)
The following is a PBE-GGA calculation of a relaxed GaCuO2 crystal, from Materials Project.

Unit cell a=5.513 b=6.660 c=5.370 alpha=90.00 beta=90.00 gamma=90.00
Space group Pna2_1 (No. 33)
Inequivalent atoms, fractional coordinates:
Ga 0.080 0.124 0.000 (multiplicity 4)
Cu 0.056 0.632 0.002 (multiplicity 4)
O 0.058 0.103 0.349 (multiplicity 4)
O 0.093 0.644 0.402 (multiplicity 4)

Output
**ΔE_f**: -1.52 eV per atom
**Volume**: 12.3 Å³/atom
**E_tot**: -21.741 eV per formula unit

=====

(2)
The following is a PBE-GGA calculation of a relaxed GaCuO2 crystal, from Materials Project.

Unit cell a=3.0133 b=3.0133 c=17.3214 alpha=90.00 beta=90.00 gamma=120.00
Space group R-3m (No. 166, hexagonal axes)
Inequivalent atoms, fractional coordinates:
Ga 0.0000 0.0000 0.0000 (multiplicity 3)
Cu 0.0000 0.0000 0.5000 (multiplicity 3)
O 0.0000 0.0000 0.3921 (multiplicity 6)

Output
**ΔE_f**: -1.68 eV per atom
**Volume**: 11.4 Å³/atom
**E_tot**: -22.349 eV per formula unit

=====

(3)
The following is a PBE-GGA calculation of a relaxed Sr4Y2GaCu5Pb4O16 crystal, from Materials Project.

Unit cell a=32.069 b=5.462 c=5.487 alpha=90.00 beta=99.18 gamma=90.00
Space group Cm (No. 8)
Inequivalent atoms, fractional coordinates:
Sr 0.000 0.000 0.000 (multiplicity 2)
Sr 0.000 0.500 0.499 (multiplicity 2)
Sr 0.219 0.000 0.213 (multiplicity 2)
Sr 0.219 0.500 0.714 (multiplicity 2)
Y 0.111 0.000 0.108 (multiplicity 2)
Y 0.111 0.500 0.608 (multiplicity 2)
Ga 0.051 0.000 0.549 (multiplicity 2)
Cu 0.057 0.500 0.054 (multiplicity 2)
Cu 0.160 0.500 0.157 (multiplicity 2)
Cu 0.161 0.000 0.658 (multiplicity 2)
Cu 0.360 0.000 0.356 (multiplicity 2)
Cu 0.360 0.500 0.858 (multiplicity 2)
Pb 0.303 0.000 0.805 (multiplicity 2)
Pb 0.304 0.500 0.307 (multiplicity 2)
Pb 0.415 0.000 0.908 (multiplicity 2)
Pb 0.416 0.500 0.405 (multiplicity 2)
O 0.063 0.243 0.803 (multiplicity 4)
O 0.063 0.244 0.317 (multiplicity 4)
O 0.156 0.250 0.402 (multiplicity 4)
O 0.156 0.251 0.903 (multiplicity 4)
O 0.235 0.000 0.728 (multiplicity 2)
O 0.236 0.500 0.228 (multiplicity 2)
O 0.302 0.000 0.249 (multiplicity 2)
O 0.302 0.500 0.748 (multiplicity 2)
O 0.418 0.000 0.462 (multiplicity 2)
O 0.418 0.500 0.970 (multiplicity 2)
O 0.484 0.000 0.985 (multiplicity 2)
O 0.488 0.500 0.489 (multiplicity 2)

Output
**ΔE_f**: -2.12 eV per atom
**Volume**: 14.8 Å³/atom
**E_tot**: -194.004 eV per formula unit

=====

(4)
The following is a PBE-GGA calculation of a relaxed SrPrGaCuO5 crystal, from Materials Project.

Unit cell a=5.831 b=6.074 c=8.178 alpha=74.16 beta=71.34 gamma=88.70
Space group P1 (No. 1)
Inequivalent atoms, fractional coordinates:
Sr 0.000 0.000 0.000 (multiplicity 1)
Sr 0.476 0.645 0.023 (multiplicity 1)
Pr 0.305 0.227 0.571 (multiplicity 1)
Pr 0.811 0.782 0.524 (multiplicity 1)
Ga 0.401 0.068 0.211 (multiplicity 1)
Ga 0.876 0.368 0.277 (multiplicity 1)
Cu 0.182 0.648 0.741 (multiplicity 1)
Cu 0.663 0.289 0.762 (multiplicity 1)
O 0.004 0.917 0.686 (multiplicity 1)
O 0.172 0.834 0.262 (multiplicity 1)
O 0.202 0.304 0.277 (multiplicity 1)
O 0.327 0.372 0.819 (multiplicity 1)
O 0.427 0.863 0.735 (multiplicity 1)
O 0.604 0.064 0.991 (multiplicity 1)
O 0.653 0.092 0.321 (multiplicity 1)
O 0.700 0.424 0.493 (multiplicity 1)
O 0.853 0.594 0.090 (multiplicity 1)
O 0.984 0.454 0.688 (multiplicity 1)

Output
**ΔE_f**: -2.50 eV per atom
**Volume**: 14.6 Å³/atom
**E_tot**: -57.358 eV per formula unit

=====

(5)
The following is a PBE-GGA calculation of a relaxed SrPrGaCuO5 crystal, from Materials Project.

Unit cell a=7.747 b=16.540 c=5.358 alpha=90.00 beta=133.66 gamma=90.00
Space group Cm (No. 8)
Inequivalent atoms, fractional coordinates:
Sr 0.000 0.139 0.000 (multiplicity 4)
Pr 0.041 0.352 0.045 (multiplicity 4)
Ga 0.078 0.000 0.615 (multiplicity 2)
Ga 0.445 0.000 0.472 (multiplicity 2)
Cu 0.018 0.250 0.518 (multiplicity 4)
O 0.063 0.399 0.514 (multiplicity 4)
O 0.134 0.000 0.021 (multiplicity 2)
O 0.265 0.246 0.017 (multiplicity 4)
O 0.271 0.244 0.523 (multiplicity 4)
O 0.396 0.000 0.787 (multiplicity 2)
O 0.440 0.402 0.405 (multiplicity 4)

Output
**ΔE_f**: -2.60 eV per atom
**Volume**: 13.8 Å³/atom
**E_tot**: -58.311 eV per formula unit

=====

(6)
The following is a PBE-GGA calculation of a relaxed SrPrGaCuO5 crystal, from Materials Project.

Unit cell a=5.374 b=5.614 c=9.131 alpha=72.13 beta=73.26 gamma=89.88
Space group P1 (No. 1)
Inequivalent atoms, fractional coordinates:
Sr 0.000 0.000 0.000 (multiplicity 1)
Sr 0.500 0.467 0.998 (multiplicity 1)
Pr 0.293 0.289 0.429 (multiplicity 1)
Pr 0.793 0.748 0.430 (multiplicity 1)
Ga 0.174 0.688 0.722 (multiplicity 1)
Ga 0.676 0.059 0.720 (multiplicity 1)
Cu 0.393 0.875 0.220 (multiplicity 1)
Cu 0.893 0.370 0.220 (multiplicity 1)
O 0.017 0.475 0.925 (multiplicity 1)
O 0.038 0.010 0.706 (multiplicity 1)
O 0.127 0.105 0.255 (multiplicity 1)
O 0.147 0.614 0.224 (multiplicity 1)
O 0.180 0.638 0.531 (multiplicity 1)
O 0.513 0.069 0.923 (multiplicity 1)
O 0.538 0.754 0.703 (multiplicity 1)
O 0.628 0.106 0.251 (multiplicity 1)
O 0.645 0.625 0.226 (multiplicity 1)
O 0.692 0.294 0.525 (multiplicity 1)

Output
**ΔE_f**: -2.62 eV per atom
**Volume**: 13.9 Å³/atom
**E_tot**: -58.471 eV per formula unit

=====

(7)
The following is a PBE-GGA calculation of a relaxed Sr2GaCuSO3 crystal, from Materials Project.

Unit cell a=3.903 b=3.903 c=15.838 alpha=90.00 beta=90.00 gamma=90.00
Space group P4/nmm (No. 129, origin choice 2)
Inequivalent atoms, fractional coordinates:
Sr 0.250 0.250 0.087 (multiplicity 2)
Sr 0.250 0.250 0.317 (multiplicity 2)
Ga 0.250 0.250 0.811 (multiplicity 2)
Cu 0.250 0.750 0.500 (multiplicity 2)
S 0.250 0.250 0.590 (multiplicity 2)
O 0.250 0.250 0.931 (multiplicity 2)
O 0.250 0.750 0.213 (multiplicity 4)

Output
**ΔE_f**: -2.30 eV per atom
**Volume**: 15.1 Å³/atom
**E_tot**: -45.292 eV per formula unit

=====

(8)
The following is a PBE-GGA calculation of a relaxed Ga2Cu3Se6O18 crystal, from Materials Project.

Unit cell a=12.488 b=8.323 c=7.690 alpha=90.00 beta=95.92 gamma=90.00
Space group P2_1/c (No. 14)
Inequivalent atoms, fractional coordinates:
Ga 0.173 0.006 0.365 (multiplicity 4)
Cu 0.380 0.623 0.129 (multiplicity 4)
Cu 0.500 0.000 0.000 (multiplicity 2)
Se 0.044 0.197 0.637 (multiplicity 4)
Se 0.215 0.597 0.447 (multiplicity 4)
Se 0.392 0.188 0.312 (multiplicity 4)
O 0.053 0.610 0.742 (multiplicity 4)
O 0.113 0.025 0.589 (multiplicity 4)
O 0.133 0.233 0.309 (multiplicity 4)
O 0.250 0.698 0.988 (multiplicity 4)
O 0.253 0.515 0.651 (multiplicity 4)
O 0.322 0.094 0.465 (multiplicity 4)
O 0.324 0.532 0.347 (multiplicity 4)
O 0.484 0.036 0.255 (multiplicity 4)
O 0.499 0.734 0.543 (multiplicity 4)

Output
**ΔE_f**: -1.33 eV per atom
**Volume**: 13.7 Å³/atom
**E_tot**: -154.710 eV per formula unit

=====

(9)
The following is a PBE-GGA calculation of a relaxed Sr2TmGaCu2O7 crystal, from Materials Project.

Unit cell a=23.136 b=5.494 c=5.385 alpha=90.00 beta=90.00 gamma=90.00
Space group Ima2 (No. 46)
Inequivalent atoms, fractional coordinates:
Sr 0.151 0.016 0.000 (multiplicity 8)
Tm 0.000 0.000 0.001 (multiplicity 4)
Ga 0.250 0.568 0.958 (multiplicity 4)
Cu 0.070 0.501 0.001 (multiplicity 8)
O 0.060 0.249 0.250 (multiplicity 8)
O 0.063 0.749 0.252 (multiplicity 8)
O 0.176 0.045 0.521 (multiplicity 8)
O 0.250 0.615 0.604 (multiplicity 4)

Output
**ΔE_f**: -2.51 eV per atom
**Volume**: 13.2 Å³/atom
**E_tot**: -81.476 eV per formula unit

=====

(10)
The following is a PBE-GGA calculation of a relaxed Sr6YGa3Cu6O21 crystal, from Materials Project.

Unit cell a=24.631 b=5.372 c=15.697 alpha=90.00 beta=102.25 gamma=90.00
Space group Cc (No. 9)
Inequivalent atoms, fractional coordinates:
Sr 0.000 0.238 0.000 (multiplicity 4)
Sr 0.000 0.239 0.329 (multiplicity 4)
Sr 0.299 0.262 0.100 (multiplicity 4)
Sr 0.300 0.262 0.430 (multiplicity 4)
Sr 0.303 0.262 0.766 (multiplicity 4)
Sr 0.497 0.262 0.164 (multiplicity 4)
Y 0.150 0.250 0.714 (multiplicity 4)
Ga 0.400 0.181 0.283 (multiplicity 4)
Ga 0.400 0.181 0.950 (multiplicity 4)
Ga 0.400 0.182 0.616 (multiplicity 4)
Cu 0.087 0.253 0.193 (multiplicity 4)
Cu 0.088 0.253 0.520 (multiplicity 4)
Cu 0.088 0.253 0.867 (multiplicity 4)
Cu 0.212 0.247 0.561 (multiplicity 4)
Cu 0.212 0.247 0.908 (multiplicity 4)
Cu 0.213 0.247 0.235 (multiplicity 4)
O 0.069 0.500 0.437 (multiplicity 4)
O 0.074 0.001 0.438 (multiplicity 4)
O 0.082 0.478 0.770 (multiplicity 4)
O 0.082 0.479 0.613 (multiplicity 4)
O 0.085 0.017 0.613 (multiplicity 4)
O 0.085 0.019 0.771 (multiplicity 4)
O 0.214 0.484 0.656 (multiplicity 4)
O 0.215 0.481 0.815 (multiplicity 4)
O 0.218 0.021 0.658 (multiplicity 4)
O 0.218 0.022 0.815 (multiplicity 4)
O 0.226 0.499 0.489 (multiplicity 4)
O 0.231 0.000 0.491 (multiplicity 4)
O 0.327 0.280 0.280 (multiplicity 4)
O 0.329 0.286 0.946 (multiplicity 4)
O 0.329 0.289 0.615 (multiplicity 4)
O 0.399 0.146 0.161 (multiplicity 4)
O 0.400 0.149 0.494 (multiplicity 4)
O 0.401 0.147 0.828 (multiplicity 4)
O 0.471 0.289 0.326 (multiplicity 4)
O 0.472 0.287 0.998 (multiplicity 4)
O 0.473 0.280 0.661 (multiplicity 4)

Output
**ΔE_f**: -2.06 eV per atom
**Volume**: 13.7 Å³/atom
**E_tot**: -216.009 eV per formula unit

=====

(11)
The following is a PBE-GGA calculation of a relaxed PaGaCu2 crystal, from Materials Project.

Unit cell a=6.502 b=6.502 c=6.502 alpha=90.00 beta=90.00 gamma=90.00
Space group Fm-3m (No. 225)
Inequivalent atoms, fractional coordinates:
Pa 0.000 0.000 0.000 (multiplicity 4)
Ga 0.000 0.000 0.500 (multiplicity 4)
Cu 0.250 0.250 0.250 (multiplicity 8)

Output
**ΔE_f**: -0.14 eV per atom
**Volume**: 17.2 Å³/atom
**E_tot**: -21.286 eV per formula unit

=====

(12)
The following is a PBE-GGA calculation of a relaxed PmGaCu2 crystal, from Materials Project.

Unit cell a=6.575 b=6.575 c=6.575 alpha=90.00 beta=90.00 gamma=90.00
Space group Fm-3m (No. 225)
Inequivalent atoms, fractional coordinates:
Pm 0.000 0.000 0.000 (multiplicity 4)
Ga 0.000 0.000 0.500 (multiplicity 4)
Cu 0.250 0.250 0.250 (multiplicity 8)

Output
**ΔE_f**: -0.29 eV per atom
**Volume**: 17.8 Å³/atom
**E_tot**: -17.139 eV per formula unit